[1]
TiPt: optimized geometry, PBE.

Crystal system   cubic
Symmetry   No. 221
Spin magnetization   0.0 μB per cell

Cell: 3.1793 3.1793 3.1793 Å, 90.00 90.00 90.00°
Closest atoms and distances in Å follow each position.
Fractional coordinates of all 2 atoms:
Pt1 0.0000 0.0000 0.0000  8 Ti 2.75
Ti1 0.5000 0.5000 0.5000  8 Pt 2.75



[2]
MnSe: optimized geometry, PBE.

Crystal system   cubic
Symmetry   No. 225

Cell: 3.8260 3.8260 3.8260 Å, 60.00 60.00 60.00°
Closest atoms and distances in Å follow each position.
Fractional coordinates of all 2 atoms:
Mn1 0.0000 0.0000 0.0000  6 Se 2.71
Se1 0.5000 0.5000 0.5000  6 Mn 2.71



[3]
SrSeO3: optimized geometry, PBE.

Crystal system   monoclinic
Symmetry   No. 11

Cell: 5.5951 4.4931 6.7408 Å, 71.85 90.00 90.00°
Closest atoms and distances in Å follow each position.
Fractional coordinates of all 10 atoms:
Se1 0.7500 0.9354 0.1579  3 O 1.72-1.74
Se2 0.2500 0.0646 0.8421  3 O 1.72-1.74
O1 0.5112 0.8268 0.3296  1 Se 1.74
O2 0.0112 0.1732 0.6704  1 Se 1.74
O3 0.2500 0.6632 0.8989  1 Se 1.72
O4 0.9888 0.8268 0.3296  1 Se 1.74
O5 0.7500 0.3368 0.1011  1 Se 1.72
O6 0.4888 0.1732 0.6704  1 Se 1.74
Sr1 0.7500 0.6540 0.6956  7 O 2.66-2.71
Sr2 0.2500 0.3460 0.3044  7 O 2.66-2.71



Quick rundown of energy relative to the elements, same order as above: -785; -577; -2316 meV per atom